No. 1
This record from the Materials Project database describes an optimized crystal structure of CeHfMg14O16. The functional is GGA-PBE.

Geometry as POSCAR:
```
CeHfMg14O16
1.0
8.868 0.000 0.000
0.000 8.868 0.000
0.000 0.000 4.403
O Mg Ce Hf
16 14 1 1
direct
0.751 0.249 0.500 O
0.734 0.000 0.000 O
0.500 0.240 0.000 O
0.000 0.500 0.500 O
0.249 0.249 0.500 O
0.760 0.500 0.000 O
0.500 0.760 0.000 O
0.266 0.000 0.000 O
0.500 0.000 0.500 O
0.751 0.751 0.500 O
0.000 0.734 0.000 O
0.240 0.500 0.000 O
0.249 0.751 0.500 O
0.500 0.500 0.500 O
0.000 0.000 0.500 O
0.000 0.266 0.000 O
0.000 0.500 0.000 Mg
0.266 0.000 0.500 Mg
0.500 0.755 0.500 Mg
0.743 0.257 0.000 Mg
0.500 0.000 0.000 Mg
0.734 0.000 0.500 Mg
0.743 0.743 0.000 Mg
0.257 0.743 0.000 Mg
0.500 0.245 0.500 Mg
0.755 0.500 0.500 Mg
0.257 0.257 0.000 Mg
0.000 0.734 0.500 Mg
0.000 0.266 0.500 Mg
0.245 0.500 0.500 Mg
0.000 0.000 0.000 Ce
0.500 0.500 0.000 Hf
```

Summary:
As for the formation energy: -90.028 eV per formula unit. Its space-group type is P4/mmm, No. 123. For the total DFT energy (no corrections), the calculation gives -6.141 eV per atom. The calculation puts the excess energy over the best structure of this formula in the dataset at 0.003 eV per atom. The crystal system is tetragonal.

No. 2
This record from the Materials Project database describes an optimized crystal structure of CeHfMg14O16. The functional is GGA-PBE.

Geometry as POSCAR:
```
CeHfMg14O16
1.0
-3.116 -2.331 7.913
-0.503 -8.446 -2.686
4.140 -0.699 1.424
Mg O Ce Hf
14 16 1 1
direct
0.000 0.257 0.500 Mg
0.732 0.000 0.500 Mg
0.500 0.748 0.500 Mg
0.737 0.747 0.000 Mg
0.260 0.500 0.500 Mg
0.263 0.747 0.000 Mg
0.737 0.253 0.000 Mg
0.000 0.743 0.500 Mg
0.500 0.252 0.500 Mg
0.740 0.500 0.500 Mg
0.268 0.000 0.500 Mg
0.500 0.000 0.000 Mg
0.263 0.253 0.000 Mg
0.500 0.500 0.000 Mg
0.742 0.500 0.000 O
0.000 0.000 0.500 O
0.500 0.500 0.500 O
0.258 0.500 0.000 O
0.271 0.000 0.000 O
0.500 0.254 0.000 O
0.500 0.746 0.000 O
0.000 0.262 0.000 O
0.729 0.000 0.000 O
0.000 0.738 0.000 O
0.252 0.250 0.500 O
0.500 0.000 0.500 O
0.748 0.250 0.500 O
0.252 0.750 0.500 O
0.748 0.750 0.500 O
0.000 0.500 0.500 O
0.000 0.000 0.000 Ce
0.000 0.500 0.000 Hf
```

Summary:
As for the formation energy: -90.130 eV per formula unit. Its space-group type is Pmmm, No. 47. For the total DFT energy (no corrections), the calculation gives -6.144 eV per atom. The calculation puts the excess energy over the best structure of this formula in the dataset at 0.000 eV per atom. The crystal system is orthorhombic.

No. 3
This record from the Materials Project database describes an optimized crystal structure of NaCeHfNbO6. The functional is GGA-PBE.

Geometry as POSCAR:
```
NaCeHfNbO6
1.0
3.548 2.783 -3.592
0.480 -1.716 -5.483
-2.161 3.255 -4.239
O Nb Hf Na Ce
6 1 1 1 1
direct
0.252 0.252 0.748 O
0.748 0.252 0.748 O
0.252 0.748 0.252 O
0.748 0.748 0.252 O
0.748 0.252 0.252 O
0.252 0.748 0.748 O
0.500 0.500 0.500 Nb
0.000 0.000 0.000 Hf
0.250 0.250 0.250 Na
0.750 0.750 0.750 Ce
```

Summary:
As for the formation energy: -32.298 eV per formula unit. Its space-group type is F-43m, No. 216. For the total DFT energy (no corrections), the calculation gives -8.518 eV per atom. The crystal system is cubic.

No. 4
This record from the Materials Project database describes an optimized crystal structure of CeHfO4. The functional is GGA-PBE.

Geometry as POSCAR:
```
CeHfO4
1.0
-2.122 -5.272 -4.829
0.175 -5.083 5.472
-10.119 2.040 2.218
O Ce Hf
32 8 8
direct
0.236 0.512 0.497 O
0.500 0.255 0.763 O
0.000 0.748 0.000 O
0.264 0.990 0.748 O
0.264 0.488 0.997 O
0.736 0.488 0.997 O
0.764 0.512 0.497 O
0.236 0.010 0.248 O
0.000 0.751 0.740 O
0.243 0.487 0.247 O
0.500 0.748 0.512 O
0.500 0.747 0.751 O
0.500 0.238 0.005 O
0.000 0.245 0.489 O
0.500 0.252 0.500 O
0.764 0.010 0.248 O
0.757 0.487 0.247 O
0.257 0.513 0.747 O
0.758 0.991 0.497 O
0.242 0.991 0.497 O
0.000 0.253 0.251 O
0.500 0.750 0.249 O
0.742 0.009 0.997 O
0.258 0.009 0.997 O
0.500 0.249 0.240 O
0.000 0.250 0.749 O
0.500 0.755 0.989 O
0.000 0.252 0.012 O
0.736 0.990 0.748 O
0.000 0.762 0.505 O
0.743 0.513 0.747 O
0.000 0.745 0.263 O
0.250 0.749 0.124 Ce
0.750 0.251 0.624 Ce
0.000 0.999 0.874 Ce
0.000 0.499 0.874 Ce
0.500 0.501 0.374 Ce
0.500 0.001 0.374 Ce
0.750 0.749 0.124 Ce
0.250 0.251 0.624 Ce
0.500 0.004 0.876 Hf
0.753 0.751 0.622 Hf
0.500 0.512 0.868 Hf
0.747 0.249 0.122 Hf
0.253 0.249 0.122 Hf
0.000 0.996 0.376 Hf
0.247 0.751 0.622 Hf
0.000 0.488 0.368 Hf
```

Summary:
As for the formation energy: -23.306 eV per formula unit. Its space-group type is Pmn2_1, No. 31. For the total DFT energy (no corrections), the calculation gives -9.373 eV per atom. The crystal system is orthorhombic.

No. 5
This record from the Materials Project database describes an optimized crystal structure of CeHfO14. The functional is GGA-PBE.

Geometry as POSCAR:
```
CeHfO14
1.0
-5.327 -5.327 0.000
-5.327 0.000 -5.327
0.000 -5.327 -5.327
O Hf Ce
28 2 2
direct
0.233 0.233 0.964 O
0.875 0.875 0.375 O
0.233 0.571 0.233 O
0.517 0.517 0.179 O
0.517 0.786 0.179 O
0.786 0.517 0.517 O
0.233 0.571 0.964 O
0.786 0.517 0.179 O
0.964 0.233 0.233 O
0.179 0.786 0.517 O
0.571 0.233 0.233 O
0.964 0.571 0.233 O
0.233 0.964 0.571 O
0.179 0.517 0.786 O
0.375 0.875 0.875 O
0.875 0.875 0.875 O
0.233 0.964 0.233 O
0.875 0.375 0.875 O
0.233 0.233 0.571 O
0.517 0.786 0.517 O
0.179 0.517 0.517 O
0.964 0.233 0.571 O
0.517 0.179 0.786 O
0.786 0.179 0.517 O
0.571 0.233 0.964 O
0.517 0.517 0.786 O
0.517 0.179 0.517 O
0.571 0.964 0.233 O
0.500 0.500 0.500 Hf
0.250 0.250 0.250 Hf
0.000 0.000 0.000 Ce
0.750 0.750 0.750 Ce
```

Summary:
As for the formation energy: -11.594 eV per formula unit. Its space-group type is Fd-3m, No. 227. For the total DFT energy (no corrections), the calculation gives -5.446 eV per atom. The crystal system is cubic.

No. 6
This record from the Materials Project database describes an optimized crystal structure of CeHfO4. The functional is GGA-PBE.

Geometry as POSCAR:
```
CeHfO4
1.0
-1.590 3.057 5.637
-6.462 -0.599 1.240
4.685 -4.399 -1.533
O Hf Ce
8 2 2
direct
0.606 0.561 0.466 O
0.654 0.109 0.966 O
0.144 0.689 0.034 O
0.439 0.904 0.045 O
0.891 0.856 0.545 O
0.311 0.346 0.455 O
0.859 0.394 0.955 O
0.096 0.141 0.534 O
0.750 0.250 0.500 Hf
0.000 0.000 0.000 Hf
0.500 0.500 0.000 Ce
0.250 0.750 0.500 Ce
```

Summary:
As for the formation energy: -23.417 eV per formula unit. Its space-group type is I4_1/a, No. 88. For the total DFT energy (no corrections), the calculation gives -9.392 eV per atom. The crystal system is tetragonal.

No. 7
This record from the Materials Project database describes an optimized crystal structure of CeHfO4. The functional is GGA-PBE.

Geometry as POSCAR:
```
CeHfO4
1.0
2.429 -6.054 0.839
4.535 4.760 0.173
2.829 -0.280 4.404
O Ce Hf
8 2 2
direct
0.767 0.717 0.267 O
0.233 0.283 0.733 O
0.283 0.233 0.233 O
0.549 0.115 0.663 O
0.115 0.549 0.163 O
0.885 0.451 0.837 O
0.451 0.885 0.337 O
0.717 0.767 0.767 O
0.136 0.864 0.750 Ce
0.864 0.136 0.250 Ce
0.404 0.596 0.250 Hf
0.596 0.404 0.750 Hf
```

Summary:
As for the formation energy: -23.510 eV per formula unit. Its space-group type is C2/c, No. 15. For the total DFT energy (no corrections), the calculation gives -9.407 eV per atom. The crystal system is monoclinic.

No. 8
This record from the Materials Project database describes an optimized crystal structure of CeHfO4. The functional is GGA-PBE.

Geometry as POSCAR:
```
CeHfO4
1.0
10.556 0.000 0.000
0.000 10.556 0.000
0.000 0.000 10.556
O Ce Hf
64 16 16
direct
0.748 0.748 0.748 O
0.250 0.750 0.750 O
0.511 0.754 0.751 O
0.251 0.750 0.012 O
0.012 0.251 0.750 O
0.488 0.749 0.250 O
0.749 0.489 0.254 O
0.754 0.751 0.511 O
0.750 0.250 0.750 O
0.501 0.503 0.736 O
0.764 0.499 0.003 O
0.999 0.501 0.499 O
0.750 0.988 0.751 O
0.259 0.500 0.499 O
0.989 0.246 0.251 O
0.736 0.501 0.503 O
0.001 0.001 0.001 O
0.000 0.501 0.759 O
0.751 0.750 0.988 O
0.501 0.759 0.000 O
0.500 0.999 0.241 O
0.005 0.505 0.995 O
0.751 0.511 0.754 O
0.000 0.001 0.741 O
0.248 0.752 0.252 O
0.251 0.989 0.246 O
0.246 0.251 0.989 O
0.264 0.001 0.997 O
0.252 0.248 0.752 O
0.249 0.011 0.746 O
0.236 0.999 0.497 O
0.505 0.995 0.005 O
0.495 0.495 0.495 O
0.741 0.000 0.001 O
0.500 0.499 0.259 O
0.503 0.736 0.501 O
0.501 0.499 0.999 O
0.250 0.250 0.250 O
0.750 0.012 0.251 O
0.988 0.751 0.750 O
0.997 0.264 0.001 O
0.759 0.000 0.501 O
0.999 0.241 0.500 O
0.011 0.746 0.249 O
0.489 0.254 0.749 O
0.750 0.750 0.250 O
0.250 0.488 0.749 O
0.749 0.250 0.488 O
0.752 0.252 0.248 O
0.499 0.999 0.501 O
0.001 0.997 0.264 O
0.250 0.512 0.249 O
0.497 0.236 0.999 O
0.995 0.005 0.505 O
0.999 0.497 0.236 O
0.003 0.764 0.499 O
0.249 0.250 0.512 O
0.241 0.500 0.999 O
0.254 0.749 0.489 O
0.499 0.003 0.764 O
0.001 0.741 0.000 O
0.499 0.259 0.500 O
0.512 0.249 0.250 O
0.746 0.249 0.011 O
0.375 0.374 0.124 Ce
0.876 0.875 0.126 Ce
0.874 0.376 0.625 Ce
0.375 0.875 0.625 Ce
0.124 0.375 0.374 Ce
0.374 0.124 0.375 Ce
0.125 0.626 0.624 Ce
0.624 0.125 0.626 Ce
0.626 0.624 0.125 Ce
0.625 0.874 0.376 Ce
0.126 0.876 0.875 Ce
0.875 0.126 0.876 Ce
0.625 0.375 0.875 Ce
0.376 0.625 0.874 Ce
0.875 0.625 0.375 Ce
0.125 0.125 0.125 Ce
0.624 0.877 0.878 Hf
0.869 0.369 0.131 Hf
0.122 0.124 0.623 Hf
0.631 0.631 0.631 Hf
0.369 0.131 0.869 Hf
0.876 0.123 0.378 Hf
0.877 0.878 0.624 Hf
0.123 0.378 0.876 Hf
0.622 0.376 0.377 Hf
0.124 0.623 0.122 Hf
0.623 0.122 0.124 Hf
0.378 0.876 0.123 Hf
0.377 0.622 0.376 Hf
0.878 0.624 0.877 Hf
0.376 0.377 0.622 Hf
0.131 0.869 0.369 Hf
```

Summary:
As for the formation energy: -23.302 eV per formula unit. Its space-group type is P2_13, No. 198. For the total DFT energy (no corrections), the calculation gives -9.373 eV per atom. The crystal system is cubic.

No. 9
This record from the Materials Project database describes an optimized crystal structure of CeHfO4. The functional is GGA-PBE.

Geometry as POSCAR:
```
CeHfO4
1.0
5.413 0.000 0.000
0.000 7.703 0.000
0.000 0.870 7.664
O Ce Hf
16 4 4
direct
0.900 0.684 0.920 O
0.609 0.428 0.177 O
0.010 0.834 0.603 O
0.990 0.166 0.397 O
0.490 0.334 0.603 O
0.990 0.386 0.668 O
0.100 0.316 0.080 O
0.391 0.572 0.823 O
0.510 0.886 0.668 O
0.010 0.614 0.332 O
0.400 0.816 0.080 O
0.490 0.114 0.332 O
0.109 0.072 0.823 O
0.600 0.184 0.920 O
0.510 0.666 0.397 O
0.891 0.928 0.177 O
0.273 0.385 0.353 Ce
0.773 0.115 0.647 Ce
0.227 0.885 0.353 Ce
0.727 0.615 0.647 Ce
0.227 0.815 0.847 Hf
0.773 0.185 0.153 Hf
0.727 0.685 0.153 Hf
0.273 0.315 0.847 Hf
```

Summary:
As for the formation energy: -23.560 eV per formula unit. Its space-group type is P2_1/c, No. 14. For the total DFT energy (no corrections), the calculation gives -9.416 eV per atom. The crystal system is monoclinic.

No. 10
This record from the Materials Project database describes an optimized crystal structure of Ce2HfS5. The functional is GGA-PBE.

Geometry as POSCAR:
```
Ce2HfS5
1.0
7.323 0.000 0.000
0.000 8.109 0.000
0.000 0.000 11.365
S Ce Hf
20 8 4
direct
0.943 0.750 0.995 S
0.160 0.250 0.291 S
0.840 0.750 0.709 S
0.141 0.750 0.306 S
0.179 0.536 0.574 S
0.679 0.464 0.926 S
0.057 0.250 0.005 S
0.443 0.250 0.505 S
0.859 0.250 0.694 S
0.179 0.964 0.574 S
0.641 0.250 0.194 S
0.679 0.036 0.926 S
0.321 0.536 0.074 S
0.821 0.036 0.426 S
0.557 0.750 0.495 S
0.660 0.750 0.209 S
0.359 0.750 0.806 S
0.340 0.250 0.791 S
0.321 0.964 0.074 S
0.821 0.464 0.426 S
0.560 0.001 0.671 Ce
0.440 0.501 0.329 Ce
0.940 0.499 0.171 Ce
0.440 0.999 0.329 Ce
0.060 0.999 0.829 Ce
0.940 0.001 0.171 Ce
0.060 0.501 0.829 Ce
0.560 0.499 0.671 Ce
0.928 0.750 0.491 Hf
0.572 0.750 0.991 Hf
0.428 0.250 0.009 Hf
0.072 0.250 0.509 Hf
```

Summary:
As for the formation energy: -17.449 eV per formula unit. Its space-group type is Pnma, No. 62. For the total DFT energy (no corrections), the calculation gives -7.180 eV per atom. The crystal system is orthorhombic.

No. 11
This record from the Materials Project database describes an optimized crystal structure of Ce3HfSb5. The functional is GGA-PBE.

Geometry as POSCAR:
```
Ce3HfSb5
1.0
-2.785 8.794 -2.050
-6.404 -6.593 2.193
0.471 1.571 6.098
Ce Sb Hf
6 10 2
direct
0.382 0.000 0.750 Ce
0.000 0.382 0.750 Ce
0.000 0.618 0.250 Ce
0.382 0.382 0.250 Ce
0.618 0.618 0.750 Ce
0.618 0.000 0.250 Ce
0.000 0.267 0.250 Sb
0.667 0.333 0.500 Sb
0.733 0.000 0.750 Sb
0.333 0.667 0.000 Sb
0.267 0.267 0.750 Sb
0.267 0.000 0.250 Sb
0.667 0.333 0.000 Sb
0.333 0.667 0.500 Sb
0.733 0.733 0.250 Sb
0.000 0.733 0.750 Sb
0.000 0.000 0.000 Hf
0.000 0.000 0.500 Hf
```

Summary:
As for the formation energy: -9.106 eV per formula unit. Its space-group type is P6_3/mcm, No. 193. For the total DFT energy (no corrections), the calculation gives -6.283 eV per atom. The crystal system is hexagonal.